Model 1:
36
Lattice="8.184 0.000 0.000 4.090 7.175 0.000 4.080 2.407 7.372" Properties=species:S:1:pos:R:3 comment="LiMn2P3O12, relaxed, DFT PBE+U" mass_density_g_cm3=3.1 space_group="P-1, No. 2" pbc="T T T"
Li 6.368 6.980 0.977
Li 9.986 2.602 6.395
Mn 8.180 4.759 0.381
Mn 4.093 2.428 4.203
Mn 12.261 7.154 3.169
Mn 8.174 4.823 6.991
P 7.015 2.048 5.523
P 11.108 5.175 5.535
P 6.418 7.173 5.516
P 9.936 2.408 1.856
P 9.339 7.533 1.849
P 5.246 4.406 1.837
O 5.026 5.945 1.932
O 13.685 7.829 6.622
O 10.977 8.226 6.737
O 8.043 3.167 5.857
O 4.260 3.933 0.734
O 2.669 1.753 0.750
O 5.377 1.355 0.634
O 8.310 6.415 1.515
O 10.753 6.946 1.974
O 4.802 1.029 3.149
O 12.093 5.649 6.638
O 6.727 4.144 1.505
O 9.444 3.813 1.494
O 5.695 7.068 4.161
O 7.551 8.224 5.421
O 11.405 5.797 4.165
O 5.601 2.636 5.397
O 8.802 1.358 1.951
O 10.659 2.514 3.210
O 6.910 5.769 5.878
O 9.627 5.438 5.867
O 11.328 3.636 5.440
O 11.551 8.553 4.223
O 4.949 3.784 3.207



Model 2:
72
Lattice="-0.478 -8.396 1.183 7.112 0.177 4.130 -5.839 1.741 9.997" Properties=species:S:1:pos:R:3 comment="LiMn2P3O12, relaxed, DFT PBE+U" mass_density_g_cm3=3.3 space_group="Pc, No. 7" pbc="T T T"
Li -2.169 -6.824 9.246
Li 1.576 -5.026 4.494
Li 4.747 0.126 5.223
Li 2.354 -1.576 11.206
Mn 1.039 -1.614 2.437
Mn -0.890 -5.343 5.781
Mn -1.917 -1.266 7.523
Mn -3.773 -4.936 10.793
Mn 4.351 -5.684 5.102
Mn 2.967 -1.072 7.204
Mn 1.408 -5.341 10.160
Mn -0.041 -0.644 12.318
P 3.761 -3.198 9.470
P 1.051 -3.708 12.947
P 5.318 -2.673 5.544
P 0.515 0.108 9.135
P 1.863 -6.503 7.130
P 3.266 -8.285 3.447
P -2.711 -2.370 12.397
P -1.285 -4.127 8.793
P -2.732 0.883 5.199
P -0.472 -6.999 2.938
P 0.545 -2.366 5.559
P -4.267 0.352 9.208
O -1.586 -4.826 7.429
O 2.668 -6.531 11.002
O 4.034 -0.131 8.432
O 5.179 -6.500 6.618
O 2.703 -3.963 10.301
O 4.642 -4.009 5.898
O 0.063 -3.839 14.115
O 4.602 -1.514 6.293
O -0.307 -2.861 1.795
O -2.106 -4.161 4.895
O -3.032 -2.178 6.292
O -4.632 -4.244 9.278
O -2.166 -6.686 5.592
O -0.108 -0.109 2.118
O 0.483 -6.803 1.759
O -3.597 -0.767 8.353
O -4.017 -6.717 10.026
O -2.025 0.379 6.495
O -0.054 -6.044 4.088
O -4.039 0.072 10.706
O 0.225 -1.737 4.188
O 1.351 0.568 12.945
O -3.488 -3.161 11.330
O -1.803 -2.678 8.755
O -0.403 -1.808 6.630
O 0.437 -3.930 5.576
O -2.114 -4.947 9.820
O 2.174 -3.034 2.972
O 2.436 -0.386 2.938
O 0.368 -6.483 6.740
O -0.980 -0.161 8.769
O -2.798 -5.615 12.249
O 3.326 -5.028 3.650
O 2.012 -2.054 5.926
O 0.200 -4.176 9.179
O -1.394 -1.881 11.772
O -1.162 0.729 11.746
O 2.640 -5.745 6.011
O 0.097 -6.738 10.250
O 1.423 -0.510 8.071
O 2.911 0.445 5.974
O 4.045 -7.526 4.565
O 2.144 -5.848 8.496
O 0.841 -0.534 10.510
O 5.075 -2.347 4.036
O 0.641 -4.650 11.797
O 3.061 -2.651 8.214
O 1.117 -2.198 12.531



Model 3:
72
Lattice="-8.413 1.188 0.815 -1.396 -5.746 -6.035 -1.786 -14.138 2.172" Properties=species:S:1:pos:R:3 comment="LiMn2P3O12, relaxed, DFT PBE+U" mass_density_g_cm3=3.2 space_group="P2_1/c, No. 14" pbc="T T T"
Li -2.220 -2.433 0.383
Li -7.994 -9.262 -4.565
Li -3.602 -9.434 1.516
Li -9.375 -16.262 -3.432
Mn -4.919 -1.771 -0.153
Mn -10.175 -13.411 0.452
Mn -5.869 -11.852 -2.070
Mn -2.207 -10.361 -4.328
Mn -9.388 -8.335 1.280
Mn -5.727 -6.844 -0.978
Mn -1.421 -5.285 -3.501
Mn -6.676 -16.925 -2.896
P -7.938 -9.226 -1.513
P -7.023 -12.777 0.817
P -9.079 -6.469 -4.739
P -3.978 -4.825 0.832
P -3.140 -13.316 -3.004
P -2.752 -2.402 -2.623
P -8.843 -16.294 -0.426
P -8.456 -5.379 -0.044
P -7.617 -13.870 -3.881
P -2.516 -12.227 1.690
P -4.572 -5.919 -3.865
P -3.657 -9.469 -1.535
O -2.793 -9.406 -2.810
O -4.421 -10.793 -1.368
O -2.780 -13.201 0.534
O -4.974 -7.060 -4.847
O -7.059 -10.472 -1.485
O -8.507 -12.445 0.531
O -8.830 -9.311 -2.794
O -6.870 -14.124 1.526
O -8.115 -0.034 0.010
O -7.798 -7.329 -4.925
O -1.826 -8.637 -5.196
O -6.091 -12.780 -0.402
O -10.443 -12.414 -1.169
O -4.870 -3.555 0.674
O -2.498 -4.355 0.751
O -5.728 -11.149 -3.840
O -2.758 -12.045 -3.765
O -3.329 -2.110 -1.200
O -4.576 -13.236 -2.436
O -3.373 -15.584 -0.677
O -8.337 -4.198 0.965
O -7.381 -12.892 -2.722
O -9.232 -14.807 -0.482
O -6.020 -2.488 -1.508
O -5.576 -16.208 -1.541
O -2.363 -3.889 -2.567
O -4.214 -5.803 -0.327
O -3.259 -14.498 -4.014
O -8.223 -3.112 -2.372
O -7.019 -5.460 -0.613
O -8.267 -16.586 -1.849
O -8.837 -6.651 0.717
O -5.868 -7.547 0.792
O -9.097 -14.341 -3.800
O -6.726 -15.141 -3.722
O -1.152 -6.282 -1.880
O -5.505 -5.916 -2.646
O -9.769 -10.058 2.148
O -3.798 -11.367 1.877
O -3.480 -18.662 -3.058
O -4.726 -4.571 -4.574
O -2.765 -9.384 -0.255
O -3.088 -6.251 -3.579
O -4.536 -8.224 -1.564
O -6.622 -11.636 1.798
O -8.816 -5.494 -3.582
O -7.174 -7.902 -1.681
O -8.803 -9.290 -0.239



Name the most stable of them. model 1.



Model 1:
28
Lattice="0.871 0.753 -4.926 -8.752 -0.310 -1.396 -1.394 8.444 -1.262" Properties=species:S:1:pos:R:3 comment="LiMnPO4, relaxed, DFT PBE+U" mass_density_g_cm3=2.8 space_group="P1, No. 1" pbc="T T T"
Li -2.529 4.702 -4.543
Li -7.344 4.170 -2.779
Li -3.626 0.280 -3.255
Li -8.438 -0.251 -1.490
Mn -4.791 2.591 -5.613
Mn -8.423 6.496 -5.165
Mn -0.856 2.371 -2.445
Mn -4.487 6.267 -2.010
P -1.844 1.699 -5.305
P -6.656 1.170 -3.543
P -1.503 5.382 -1.714
P -5.442 5.601 -4.877
O -1.229 1.286 -0.693
O -5.171 1.512 -3.857
O -2.004 6.162 -5.907
O -6.813 5.628 -4.140
O -1.931 1.210 -3.829
O -6.740 0.677 -2.069
O -4.340 5.242 -3.838
O -8.282 5.468 -6.994
O -2.727 2.965 -5.518
O -7.542 2.433 -3.752
O -1.223 6.774 -2.354
O -5.164 6.994 -5.516
O -1.481 4.324 -2.858
O -5.422 4.544 -6.022
O -4.655 8.273 -2.580
O -8.594 8.496 -5.745



Model 2:
28
Lattice="5.498 0.000 0.000 0.000 8.057 0.000 0.000 2.163 8.298" Properties=species:S:1:pos:R:3 comment="LiMnPO4, relaxed, DFT PBE+U" e_ij_max_c_m2=0.3 mass_density_g_cm3=2.8 space_group="Pc, No. 7" pbc="T T T"
Li 4.666 0.401 0.576
Li 1.879 4.659 2.352
Li 0.832 1.482 4.726
Li 3.619 5.741 6.501
Mn 1.877 1.498 1.633
Mn 4.589 5.957 3.292
Mn 3.621 2.580 5.783
Mn 0.909 7.038 7.441
P 0.902 3.860 6.842
P 1.845 7.189 4.277
P 4.596 2.779 2.693
P 3.652 6.108 0.128
O 2.228 5.632 0.531
O 4.388 7.067 7.768
O 0.885 3.113 8.211
O 1.732 5.163 7.009
O 3.917 1.884 1.613
O 3.647 9.491 7.470
O 0.574 3.082 2.268
O 4.412 6.647 1.372
O 3.766 4.081 2.860
O 4.613 2.032 4.062
O 1.086 7.728 5.522
O 1.851 8.410 3.321
O 1.581 2.965 5.763
O 3.270 6.713 4.680
O 4.924 4.163 6.418
O 1.109 5.986 3.619



Name the most stable of them. model 1.



Model 1:
14
Lattice="0.000 4.735 5.658 2.882 0.000 5.658 2.882 4.735 0.000" Properties=species:S:1:pos:R:3 comment="LiMnPO4, relaxed, DFT PBE+U" e_ij_max_c_m2=1.3 mass_density_g_cm3=3.4 space_group="Fdd2, No. 43" pbc="T T T"
Li 1.441 2.987 2.829
Li 2.882 0.619 5.658
Mn 4.323 8.884 8.486
Mn 2.882 6.516 5.658
P 2.882 3.510 5.658
P 4.323 5.878 8.486
O 2.040 4.506 6.532
O 3.819 2.602 6.491
O 2.378 4.970 1.995
O 3.481 6.874 7.612
O 3.724 4.506 4.783
O 1.945 2.602 4.824
O 5.165 6.874 9.361
O 3.386 4.970 9.320



Model 2:
28
Lattice="-0.715 1.844 4.904 -2.091 6.249 -2.655 -7.802 -2.667 -0.134" Properties=species:S:1:pos:R:3 comment="LiMnPO4, relaxed, DFT PBE+U" e_ij_max_c_m2=0.5 mass_density_g_cm3=3.4 space_group="Pna2_1, No. 33" pbc="T T T"
Li -4.994 0.469 0.336
Li -1.462 2.759 2.841
Li -9.099 2.548 -1.044
Li -5.567 4.838 1.460
Mn -3.265 3.022 -0.265
Mn -7.322 2.354 2.246
Mn -8.472 5.444 0.915
Mn -2.117 -0.068 1.064
P -4.137 1.584 2.924
P -7.833 -0.218 0.212
P -2.736 5.545 1.638
P -6.432 3.743 -1.073
O -4.477 0.113 3.224
O -1.139 3.276 -0.330
O -9.378 1.919 1.830
O -6.041 5.083 -1.724
O -3.612 1.641 1.432
O -7.755 0.887 3.963
O -3.140 5.284 0.131
O -7.284 4.530 2.661
O -2.996 2.124 3.841
O -6.812 0.680 0.977
O -3.996 5.264 2.514
O -7.812 3.821 -0.350
O -5.382 2.477 3.156
O -0.649 1.468 1.374
O -10.108 4.344 1.765
O -5.375 3.335 -0.017



Name the most stable of them. model 1.



Model 1:
28
Lattice="0.000 5.334 0.000 -2.430 0.000 7.874 8.604 0.000 0.173" Properties=species:S:1:pos:R:3 comment="LiMnPO4, relaxed, DFT PBE+U" mass_density_g_cm3=2.9 space_group="Pc, No. 7" pbc="T T T"
Li -0.284 1.808 6.884
Li 4.018 3.526 6.970
Li 2.402 4.396 2.917
Li 6.704 0.938 3.003
Mn 1.114 1.726 3.900
Mn 5.416 3.608 3.987
Mn -1.733 4.478 7.587
Mn 2.569 0.856 7.673
P -0.561 3.602 1.978
P 3.741 1.732 2.064
P 1.096 4.372 5.887
P 5.398 0.962 5.973
O -2.082 1.069 6.875
O 2.220 4.264 6.962
O -0.405 2.149 2.522
O 3.897 3.185 2.609
O -0.213 3.716 6.410
O 4.089 1.618 6.496
O 0.860 0.578 5.650
O 5.162 4.755 5.736
O 0.843 4.270 1.823
O 5.145 1.064 1.909
O 1.544 3.665 4.591
O 5.846 1.669 4.678
O 2.834 0.941 3.050
O 7.135 4.392 3.137
O 3.162 1.680 0.621
O 7.464 3.654 0.707



Model 2:
84
Lattice="-7.442 -3.038 2.996 0.852 -6.321 -4.206 7.305 -6.676 11.083" Properties=species:S:1:pos:R:3 comment="LiMnPO4, relaxed, DFT PBE+U" mass_density_g_cm3=3.2 space_group="P1, No. 1" pbc="T T T"
Li 3.007 -7.150 1.952
Li 5.687 -10.490 5.178
Li 0.500 -4.995 -1.617
Li 0.202 -5.120 5.118
Li 2.601 -8.256 8.185
Li -2.422 -2.950 1.633
Li 3.109 -13.072 8.253
Li -1.825 -7.805 1.679
Li 0.511 -10.933 4.736
Li 0.242 -11.034 11.510
Li -4.967 -5.489 4.714
Li -2.310 -8.898 7.906
Mn 5.771 -12.956 6.896
Mn 2.536 -4.883 7.075
Mn 0.809 -8.272 -0.606
Mn 5.204 -10.285 8.653
Mn 0.264 -5.188 1.662
Mn 2.633 -7.595 5.209
Mn -1.939 -8.475 4.619
Mn 0.419 -10.771 8.187
Mn -4.431 -5.764 1.250
Mn -0.055 -7.792 10.401
Mn -1.811 -11.193 2.794
Mn -5.098 -3.034 2.957
P -2.100 -11.456 6.250
P -4.453 -9.160 2.094
P 0.750 -13.529 9.863
P -0.090 -7.156 7.218
P -2.197 -5.286 3.579
P 2.709 -9.323 10.782
P -1.983 -6.718 -0.912
P 2.908 -10.760 6.299
P 0.815 -8.925 2.614
P -0.072 -2.453 0.066
P 5.192 -6.859 7.801
P 2.803 -4.593 3.601
O 5.718 -8.286 8.061
O -4.350 -6.112 6.502
O -6.520 -4.569 2.300
O -4.700 -9.954 0.774
O -1.409 -9.251 9.637
O -4.995 -7.727 1.900
O -2.544 -10.849 4.880
O -0.031 -12.762 8.749
O -0.983 -8.223 6.535
O -2.948 -9.209 2.480
O -0.558 -11.239 6.395
O 1.911 -14.327 9.211
O 4.617 -7.680 4.408
O 5.049 -9.935 3.362
O 7.194 -11.429 7.613
O 5.459 -6.008 9.082
O 2.143 -6.821 0.216
O -3.917 -8.361 5.438
O 3.251 -5.206 4.968
O 0.680 -3.126 1.272
O -0.589 -3.579 -0.862
O 3.686 -6.817 7.419
O 1.262 -4.817 3.458
O -1.277 -1.668 0.636
O 1.698 -7.852 3.302
O 4.431 -10.918 6.616
O -0.426 -6.590 -0.847
O 1.712 -10.074 2.112
O 0.076 -8.296 1.388
O 4.822 -12.471 9.014
O 2.549 -11.142 4.848
O -1.421 -4.338 2.599
O 2.447 -9.296 6.543
O 0.982 -6.597 6.225
O 3.312 -9.729 9.423
O 3.068 -7.840 11.063
O -2.387 -8.189 -1.190
O -2.544 -6.310 0.468
O -0.268 -9.471 3.605
O -1.721 -6.742 3.318
O 2.110 -11.689 7.279
O -1.835 -4.913 5.028
O -4.122 -3.558 0.876
O 0.672 -7.804 8.427
O -0.979 -6.016 7.759
O 1.153 -9.475 10.679
O -3.721 -5.131 3.270
O 1.333 -12.491 10.850



Name the most stable of them. model 2.